Record 1
Mg3NF3: optimized geometry, r²SCAN.

extended XYZ file:
```
7
Lattice="-3.337 -2.550 0.118 1.961 -2.437 2.804 -1.633 2.282 3.126" Properties=species:S:1:pos:R:3 pbc="T T T"
F -1.668 -1.275 0.059
F 0.981 -1.219 1.402
F -0.817 1.141 1.563
Mg 0.164 -0.077 2.965
Mg -2.485 -0.134 1.622
Mg -0.688 -2.493 1.461
N -1.505 -1.352 3.024
```

Energy of formation from the pure elements: -2814.3 meV/atom
Total magnetization: 0.000 μB per cell
Symmetry: Pm-3m (221)
Crystal system: cubic
Final energy: -7.245 eV per atom

---

Record 2
Ta2CrRe: optimized geometry, r²SCAN.

extended XYZ file:
```
4
Lattice="0.000 3.146 3.146 3.146 0.000 3.146 3.146 3.146 0.000" Properties=species:S:1:pos:R:3 pbc="T T T"
Ta 4.719 4.719 4.719
Ta 1.573 1.573 1.573
Cr 3.146 3.146 3.146
Re 0.000 0.000 0.000
```

Energy of formation from the pure elements: -233.0 meV/atom
Total magnetization: 0.001 μB per cell
Symmetry: Fm-3m (225)
Crystal system: cubic
Final energy: -41.400 eV per atom

---

Record 3
KSiH3: optimized geometry, r²SCAN.

extended XYZ file:
```
20
Lattice="-1.370 -4.278 2.816 3.888 2.197 5.229 -6.870 4.357 3.278" Properties=species:S:1:pos:R:3 pbc="T T T"
H -4.562 -0.055 5.183
H -2.456 0.179 4.457
H -6.852 0.336 6.769
H 2.500 1.941 4.554
H -1.318 3.903 5.678
H -3.034 -1.626 5.645
H -1.896 2.098 6.866
H 0.210 2.331 6.139
H -0.703 -1.994 4.114
H -3.649 4.271 7.209
H 1.922 0.136 5.742
H -6.274 2.141 5.581
Si 1.874 0.561 4.259
Si -3.560 -0.897 4.390
Si -6.226 1.716 7.064
Si -0.792 3.174 6.932
K -1.039 0.067 2.092
K -3.313 2.209 9.231
K -3.689 2.689 4.787
K -0.663 -0.413 6.536
```

Energy of formation from the pure elements: -188.0 meV/atom
Total magnetization: 0.000 μB per cell
Symmetry: Pnma (62)
Crystal system: orthorhombic
Final energy: -5.220 eV per atom

---

Record 4
LiEr4Ge4: optimized geometry, r²SCAN.

extended XYZ file:
```
36
Lattice="7.052 0.000 0.000 0.000 7.609 0.000 0.000 0.000 14.502" Properties=species:S:1:pos:R:3 pbc="T T T"
Er 1.204 5.148 5.402
Er 3.643 2.383 1.426
Er 6.935 6.188 13.076
Er 2.322 1.343 12.653
Er 3.409 5.225 8.677
Er 0.117 1.421 1.426
Er 4.730 6.265 5.402
Er 2.322 1.343 9.100
Er 3.643 2.383 5.825
Er 5.848 2.461 12.653
Er 5.848 2.461 9.100
Er 3.409 5.225 13.076
Er 0.117 1.421 5.825
Er 6.935 6.188 8.677
Er 1.204 5.148 1.849
Er 4.730 6.265 1.849
Ge 0.130 0.667 10.876
Ge 1.530 2.775 3.625
Ge 5.056 1.029 3.625
Ge 1.181 3.546 7.778
Ge 4.707 0.258 7.778
Ge 5.871 4.063 0.527
Ge 3.396 4.472 3.625
Ge 5.522 4.834 10.876
Ge 6.922 6.942 3.625
Ge 2.345 7.351 6.724
Ge 3.657 3.137 10.876
Ge 4.707 0.258 13.975
Ge 1.996 6.579 10.876
Ge 2.345 7.351 0.527
Ge 1.181 3.546 13.975
Ge 5.871 4.063 6.724
Li 4.673 7.399 10.876
Li 2.379 0.210 3.625
Li 1.147 4.015 10.876
Li 5.905 3.594 3.625
```

Energy of formation from the pure elements: -924.5 meV/atom
Total magnetization: 0.067 μB per cell
Symmetry: Pnma (62)
Crystal system: orthorhombic
Final energy: -22.433 eV per atom

---

Record 5
Li2InFeP4O14: optimized geometry, r²SCAN.

extended XYZ file:
```
44
Lattice="0.311 4.598 -5.284 -8.594 -1.438 -3.985 -7.835 3.275 4.499" Properties=species:S:1:pos:R:3 pbc="T T T"
Li -2.864 0.361 -2.157
Li -11.079 1.279 -1.900
Li -6.583 5.397 -2.849
Li -6.963 3.040 -7.091
O -5.210 4.989 -4.179
O -5.190 2.060 -0.745
O -1.345 0.299 -0.934
O -9.189 4.253 -3.984
O -9.655 1.954 -3.232
O -0.974 3.335 -4.242
O -6.884 0.214 -0.986
O -6.505 2.571 3.256
O -12.301 5.283 -6.112
O -4.086 4.365 -6.369
O -13.425 5.907 -3.921
O -6.373 3.769 0.681
O -9.560 1.217 -0.676
O -2.560 0.908 1.176
O -6.753 1.412 -3.561
O -5.787 2.024 -5.790
O -10.774 1.826 1.433
O -13.404 2.979 -0.488
O -8.255 1.747 1.448
O -7.456 2.965 -1.441
O -8.634 -0.610 -2.794
O -3.310 2.660 -3.454
O -10.258 5.119 -1.157
O -10.637 2.763 -5.399
O -5.407 4.380 -1.548
O -7.835 0.608 -5.683
O -11.525 3.578 -3.197
O -9.275 4.310 1.010
P -9.215 5.789 -4.447
P -6.163 3.338 -0.744
P -10.307 3.105 -3.972
P -6.542 0.981 -4.986
P -1.000 4.871 -4.704
P -13.732 1.450 -0.146
P -9.927 5.462 0.270
P -5.517 0.532 -0.403
In -3.645 4.609 -2.719
In -11.860 5.528 -2.462
Fe -8.129 1.295 -2.168
Fe -7.750 3.651 2.074
```

Energy of formation from the pure elements: -2362.8 meV/atom
Total magnetization: 0.000 μB per cell
Final energy: -9.699 eV per atom

---

Record 6
As3W2: optimized geometry, r²SCAN.

extended XYZ file:
```
10
Lattice="3.261 0.000 0.670 1.430 6.588 1.313 0.025 -0.007 8.152" Properties=species:S:1:pos:R:3 pbc="T T T"
As 3.761 3.818 6.508
As 2.586 5.645 3.959
As 2.130 0.936 6.176
As 3.147 1.336 1.223
As 1.568 5.245 8.911
As 0.955 2.763 3.626
W 2.944 3.736 2.215
W 1.772 2.846 7.920
W 2.638 0.808 3.703
W 2.078 5.773 6.432
```

Energy of formation from the pure elements: -92.8 meV/atom
Total magnetization: 0.000 μB per cell
Symmetry: C2/m (12)
Crystal system: monoclinic
Final energy: -29.464 eV per atom

---

Record 7
Zr6Zn23Ge: optimized geometry, r²SCAN.

extended XYZ file:
```
30
Lattice="-5.097 -6.210 3.339 -8.268 -0.712 -2.612 -2.440 -6.741 -4.929" Properties=species:S:1:pos:R:3 pbc="T T T"
Zn -8.658 -8.674 0.793
Zn -3.769 -6.476 -0.795
Zn -8.899 -4.639 0.456
Zn -6.906 -9.024 -4.658
Zn -1.968 -1.701 -0.523
Zn -12.613 -8.578 -1.205
Zn -5.057 -8.614 -1.072
Zn -13.838 -11.962 -3.679
Zn -7.147 -4.989 -4.995
Zn -6.119 -2.058 -1.834
Zn -11.279 -8.844 -5.355
Zn -4.989 -9.846 -3.260
Zn -6.683 -3.461 0.363
Zn -6.317 -9.581 0.874
Zn -5.298 -4.580 -1.408
Zn -3.193 -5.085 -2.998
Zn -10.508 -9.084 -2.794
Zn -4.527 -4.819 1.153
Zn -5.097 -6.210 3.338
Zn -9.687 -11.605 -2.368
Zn -5.354 -3.727 -3.770
Zn -9.231 -6.566 2.033
Zn -10.749 -5.048 -3.131
Ge -7.903 -6.832 -2.101
Zr -6.698 -6.565 0.235
Zr -5.557 -6.793 -3.315
Zr -9.108 -7.098 -4.437
Zr -8.060 -4.204 -2.320
Zr -10.249 -6.870 -0.887
Zr -7.746 -9.459 -1.882
```

Energy of formation from the pure elements: -328.2 meV/atom
Total magnetization: 0.000 μB per cell
Symmetry: Fm-3m (225)
Crystal system: cubic
Final energy: -12.172 eV per atom

---

Record 8
FeSb3: optimized geometry, r²SCAN.

extended XYZ file:
```
16
Lattice="2.795 0.432 7.415 5.847 -2.166 -4.909 -2.800 7.096 -2.188" Properties=species:S:1:pos:R:3 pbc="T T T"
Sb 5.362 2.047 -0.321
Sb 5.364 -0.410 -2.028
Sb 3.387 2.996 -4.311
Sb 0.478 5.772 2.345
Sb 0.480 3.315 0.639
Sb 2.393 1.387 -1.995
Sb 0.112 5.322 -2.170
Sb 5.730 0.040 2.488
Sb 2.933 4.756 -1.353
Sb 3.450 3.975 2.312
Sb 2.909 0.606 1.670
Sb 2.455 2.366 4.628
Fe 1.398 0.216 3.707
Fe -1.400 3.548 -1.094
Fe 2.923 -1.083 -2.455
Fe 2.921 2.681 0.159
```

Energy of formation from the pure elements: 62.9 meV/atom
Total magnetization: 3.982 μB per cell
Symmetry: Im-3 (204)
Crystal system: cubic
Final energy: -22.820 eV per atom

---

Record 9
YAgTe2: optimized geometry, r²SCAN.

extended XYZ file:
```
8
Lattice="-2.758 3.430 -1.576 -5.716 -3.356 2.701 0.850 3.520 6.173" Properties=species:S:1:pos:R:3 pbc="T T T"
Te -1.331 2.758 4.430
Te -5.087 -0.664 3.557
Te -5.312 2.923 5.692
Te -3.518 2.172 0.917
Y -3.427 -0.970 1.025
Y -1.764 4.482 1.836
Ag -2.433 0.082 4.437
Ag 0.000 0.000 0.000
```

Energy of formation from the pure elements: -1096.2 meV/atom
Total magnetization: 0.000 μB per cell
Symmetry: P-42_1m (113)
Crystal system: tetragonal
Final energy: -24.222 eV per atom

---

Record 10
HoInPt2: optimized geometry, r²SCAN.

extended XYZ file:
```
4
Lattice="0.000 3.369 3.369 3.369 0.000 3.369 3.369 3.369 0.000" Properties=species:S:1:pos:R:3 pbc="T T T"
Pt 1.685 1.685 1.685
Pt 5.054 5.054 5.054
Ho 3.369 3.369 3.369
In 0.000 0.000 0.000
```

Energy of formation from the pure elements: -1030.8 meV/atom
Total magnetization: 0.000 μB per cell
Symmetry: Fm-3m (225)
Crystal system: cubic
Final energy: -40.640 eV per atom

---

Record 11
Tm3B5O12: optimized geometry, r²SCAN.

extended XYZ file:
```
80
Lattice="-1.577 -0.965 4.183 -4.126 -10.984 -4.090 11.194 -5.320 2.992" Properties=species:S:1:pos:R:3 pbc="T T T"
Tm -0.355 -10.519 2.433
Tm 7.650 -10.108 0.551
Tm 0.716 -2.845 -0.381
Tm 5.846 -6.749 0.652
Tm 4.117 -1.956 1.100
Tm 8.879 -6.724 1.801
Tm 2.814 -5.309 -0.159
Tm 4.775 -14.424 3.466
Tm 2.677 -11.960 3.244
Tm -0.583 -6.196 -1.649
Tm 7.078 -3.363 1.892
Tm -3.388 -10.544 1.284
O 2.577 -9.921 -0.115
O -0.834 -9.897 -0.892
O 3.253 -10.121 2.220
O 5.020 -5.397 3.945
O 0.099 -6.870 1.907
O 4.389 -8.170 1.439
O -1.418 -11.644 0.678
O -1.736 -11.815 -1.836
O 0.501 -5.124 0.107
O 4.990 -12.145 2.978
O 0.471 -11.872 -0.860
O -3.548 -6.992 0.845
O 7.125 -8.271 1.877
O 2.339 -3.453 1.185
O -3.929 -9.680 -2.511
O 2.895 -4.387 3.377
O 2.238 -7.148 0.865
O -1.442 -5.038 1.592
O -2.137 -7.921 -0.932
O 6.909 -5.625 2.407
O 3.152 -13.816 1.900
O -1.775 -2.269 2.604
O -4.242 -9.038 -0.197
O 7.227 -5.454 4.921
O 6.933 -12.231 1.493
O 1.102 -9.099 1.645
O 1.256 -2.616 3.325
O -2.155 -4.957 -0.752
O 0.728 -4.712 2.481
O 2.914 -7.348 3.199
O 2.596 -12.882 -0.292
O 5.392 -10.399 1.178
O -1.461 -2.912 0.289
O 9.286 -5.946 3.799
O 4.763 -12.557 0.604
O 6.325 -7.372 3.977
O 7.628 -9.348 4.016
O -3.795 -11.322 -0.714
O 0.242 -1.649 1.381
O 4.041 -5.824 1.691
O 4.929 -3.659 2.218
O 5.322 -9.352 3.303
O -1.634 -8.997 1.207
O 5.249 -15.620 1.704
O 4.235 -14.653 -0.240
O 0.562 -13.609 0.867
O 0.169 -7.917 -0.218
O 1.450 -11.445 1.394
B 5.509 -11.848 1.686
B 8.596 -4.942 4.600
B 1.877 -3.757 2.497
B -1.165 -8.677 -0.098
B 2.155 -10.064 1.210
B 1.239 -12.521 0.269
B 0.935 -7.774 1.059
B 4.556 -9.495 2.026
B 3.614 -13.512 0.588
B 6.656 -8.592 3.183
B 6.396 -5.905 3.705
B -0.905 -11.364 -0.620
B 4.252 -4.748 2.816
B 1.022 -1.343 2.575
B -0.018 -5.420 1.399
B -4.463 -10.122 -1.298
B 3.336 -7.205 1.875
B -3.529 -7.654 -0.405
B -2.174 -4.296 0.498
B -1.240 -1.827 1.391
```

Energy of formation from the pure elements: -3229.7 meV/atom
Total magnetization: 0.000 μB per cell
Symmetry: Pmna (53)
Crystal system: orthorhombic
Final energy: -13.918 eV per atom

---

Record 12
KFeF4: optimized geometry, r²SCAN.

extended XYZ file:
```
48
Lattice="-2.806 4.913 5.032 -6.812 -3.722 -0.165 3.703 -7.181 9.077" Properties=species:S:1:pos:R:3 pbc="T T T"
F -5.168 -4.830 2.395
F 0.723 -7.614 8.384
F -1.573 1.298 6.401
F -4.310 1.496 6.969
F -3.879 -2.432 3.060
F -3.054 -1.084 10.164
F -0.747 -1.160 11.549
F -6.639 1.624 5.559
F -4.851 -5.035 10.756
F -2.037 -3.558 10.883
F -3.977 -2.955 5.778
F -2.862 -4.906 3.780
F -3.184 -0.477 4.948
F -2.732 -5.513 8.995
F -3.078 3.505 5.669
F -1.605 -7.486 6.975
F -6.359 -2.825 10.059
F -5.619 -0.853 6.244
F -4.343 -7.288 7.542
F -1.064 -0.955 3.187
F -6.295 -2.857 4.415
F 0.443 -3.165 3.884
F -2.838 -9.495 8.274
F -1.964 1.554 3.671
F -0.411 -5.629 10.418
F -3.952 -7.544 10.272
F -1.939 -3.035 8.165
F 0.379 -3.133 9.528
F -0.691 -1.180 5.917
F -5.505 -0.361 3.526
F -5.225 -4.810 8.026
F -0.297 -5.137 7.699
Fe -2.569 -1.887 11.792
Fe -3.190 -8.620 6.648
Fe -1.171 -4.334 9.286
Fe -4.745 -1.657 4.657
Fe -1.328 0.183 4.789
Fe -4.588 -6.173 9.155
Fe -3.347 -4.104 2.151
Fe -2.726 2.630 7.295
K -1.456 -3.676 5.626
K -4.910 -5.429 5.411
K -8.028 0.339 3.737
K -4.562 2.099 3.952
K 2.113 -6.329 10.206
K -1.354 -8.089 9.991
K -4.460 -2.314 8.317
K -1.006 -0.561 8.532
```

Energy of formation from the pure elements: -2785.6 meV/atom
Total magnetization: 40.000 μB per cell
Symmetry: Pnma (62)
Crystal system: orthorhombic
Final energy: -8.275 eV per atom